The following is a PBE+U calculation of La4Sm4Ni7AgO20 after structural relaxation, from the Materials Project.

The formation energy comes out at -8546 kJ/mol of formula units.

abc: 11.0180 11.5183 17.5337
angles: 109.59 108.22 89.88
With the nearest neighbours (Å) after each atom.
Atoms (fractional coordinates):
La (0.3067, 0.0615, 0.6078)  5 O 2.40-2.68
La (0.3097, 0.5650, 0.6106)  4 O 2.38-2.55
La (0.8044, 0.0630, 0.6087)  5 O 2.39-2.64
La (0.8060, 0.5641, 0.6111)  4 O 2.36-2.52
La (0.1977, 0.4365, 0.3890)  4 O 2.37-2.54
La (0.1924, 0.4384, 0.8877)  5 O 2.36-2.53
La (0.6946, 0.4359, 0.3888)  4 O 2.39-2.54
La (0.6936, 0.9361, 0.3884)  5 O 2.37-2.64
La (0.0552, 0.2958, 0.6090)  4 O 2.39-2.53
La (0.0547, 0.7980, 0.6102)  4 O 2.37-2.53
La (0.5573, 0.2969, 0.6095)  5 O 2.38-2.64
La (0.4447, 0.2016, 0.3881)  4 O 2.37-2.56
La (0.4417, 0.2044, 0.8894)  5 O 2.36-2.58
La (0.9470, 0.2017, 0.3885)  4 O 2.39-2.55
La (0.9424, 0.1997, 0.8864)  4 O 2.30-2.54
La (0.9479, 0.7052, 0.3896)  5 O 2.40-2.66
Sm (0.2978, 0.0682, 0.1127)  5 O 2.29-2.48
Sm (0.3081, 0.5653, 0.1158)  5 O 2.30-2.46
Sm (0.7951, 0.0707, 0.1116)  5 O 2.30-2.46
Sm (0.7983, 0.5594, 0.1153)  5 O 2.29-2.44
Sm (0.1956, 0.9342, 0.3902)  5 O 2.33-2.57
Sm (0.1889, 0.9337, 0.8878)  4 O 2.27-2.40
Sm (0.6809, 0.4340, 0.8873)  5 O 2.30-2.46
Sm (0.6832, 0.9329, 0.8813)  4 O 2.26-2.43
Sm (0.0534, 0.2981, 0.1140)  5 O 2.29-2.48
Sm (0.0581, 0.7954, 0.1170)  5 O 2.26-2.53
Sm (0.5535, 0.3005, 0.1120)  5 O 2.30-2.47
Sm (0.5406, 0.7938, 0.1120)  5 O 2.33-2.43
Sm (0.5541, 0.7925, 0.6063)  5 O 2.33-2.57
Sm (0.4442, 0.7080, 0.3925)  5 O 2.34-2.60
Sm (0.4341, 0.6995, 0.8883)  5 O 2.31-2.50
Sm (0.9427, 0.7074, 0.8871)  5 O 2.30-2.51
Ni (0.0050, 0.9997, 0.4989)  6 O 2.01-2.22
Ni (0.0051, 0.5000, 0.4997)  6 O 2.01-2.22
Ni (0.5042, 0.9987, 0.4987)  6 O 2.00-2.21
Ni (0.5020, 0.4995, 0.0018)  5 O 1.99-2.21
Ni (0.5040, 0.5003, 0.4984)  6 O 2.00-2.20
Ni (0.2557, 0.2540, 0.0019)  4 O 1.97-2.00
Ni (0.2549, 0.2489, 0.4993)  6 O 2.01-2.20
Ni (0.2533, 0.7495, 0.0030)  4 O 1.95-2.00
Ni (0.2556, 0.7497, 0.4993)  6 O 2.01-2.16
Ni (0.7514, 0.2523, 0.0004)  4 O 1.96-2.00
Ni (0.7538, 0.2500, 0.4991)  6 O 2.01-2.16
Ni (0.7531, 0.7489, 0.4983)  6 O 2.00-2.19
Ni (0.1081, 0.0961, 0.2512)  4 O 1.92-2.05
Ni (0.1092, 0.0960, 0.7515)  4 O 1.96-2.05
Ni (0.1104, 0.6000, 0.2503)  4 O 1.90-2.08
Ni (0.1092, 0.5999, 0.7512)  4 O 1.95-2.04
Ni (0.6082, 0.0953, 0.2494)  4 O 1.91-2.06
Ni (0.6063, 0.0965, 0.7495)  4 O 1.96-2.04
Ni (0.6059, 0.5987, 0.2497)  4 O 1.94-2.04
Ni (0.6090, 0.6014, 0.7508)  4 O 1.93-2.07
Ni (0.3571, 0.4029, 0.2476)  4 O 1.96-2.06
Ni (0.3595, 0.4037, 0.7493)  4 O 1.94-2.03
Ni (0.3557, 0.9014, 0.2498)  4 O 1.95-2.05
Ni (0.3613, 0.9006, 0.7488)  4 O 1.94-2.05
Ni (0.8568, 0.4005, 0.2485)  4 O 1.95-2.06
Ni (0.8549, 0.4042, 0.7495)  4 O 1.91-2.07
Ni (0.8593, 0.9011, 0.2478)  4 O 1.94-2.08
Ni (0.8554, 0.8985, 0.7477)  4 O 1.92-2.06
Ag (0.9987, 0.0021, 0.0023)  4 O 2.08-2.15
Ag (0.0028, 0.4990, 0.0012)  4 O 2.09-2.16
Ag (0.4963, 0.0026, 0.0024)  4 O 2.09-2.13
Ag (0.7465, 0.7464, 0.0026)  4 O 2.07-2.10
O (0.1202, 0.1159, 0.4815)  2 Ni 2.01
O (0.1179, 0.1253, 0.9794)  1 Ni 1.98, 1 Ag 2.15
O (0.1193, 0.6190, 0.4829)  2 Ni 2.01
O (0.1100, 0.6248, 0.9731)  1 Ni 1.95, 1 Ag 2.14
O (0.6168, 0.1187, 0.4816)  2 Ni 2.02
O (0.6157, 0.1251, 0.9807)  1 Ni 1.96, 1 Ag 2.13
O (0.6128, 0.6209, 0.4789)  2 Ni 2.01-2.02
O (0.5982, 0.6062, 0.9664)  1 Ni 1.99, 1 Ag 2.09
O (0.1488, 0.3848, 0.0386)  1 Ni 1.97, 1 Ag 2.16
O (0.1366, 0.3817, 0.5190)  2 Ni 2.02
O (0.1402, 0.8801, 0.0287)  1 Ni 1.98, 1 Ag 2.14
O (0.1364, 0.8809, 0.5164)  2 Ni 2.01
O (0.6352, 0.3838, 0.0231)  2 Ni 2.00-2.01
O (0.6362, 0.3832, 0.5170)  2 Ni 2.01
O (0.6344, 0.8861, 0.0371)  2 Ag 2.07-2.11
O (0.6319, 0.8773, 0.5167)  2 Ni 2.00-2.01
O (0.3639, 0.1070, 0.4787)  2 Ni 2.00-2.03
O (0.3491, 0.1098, 0.9692)  1 Ni 1.97, 1 Ag 2.09
O (0.3704, 0.6153, 0.4796)  2 Ni 2.00-2.01
O (0.3677, 0.6148, 0.9848)  2 Ni 2.00-2.01
O (0.8687, 0.1137, 0.4823)  2 Ni 2.01-2.02
O (0.8476, 0.1077, 0.9709)  1 Ni 1.98, 1 Ag 2.10
O (0.8681, 0.6128, 0.4814)  2 Ni 2.01-2.02
O (0.8510, 0.5981, 0.9626)  2 Ag 2.09-2.10
O (0.3877, 0.3917, 0.0249)  2 Ni 1.99-2.00
O (0.3861, 0.3862, 0.5168)  2 Ni 2.02
O (0.3797, 0.8876, 0.0280)  1 Ni 1.95, 1 Ag 2.09
O (0.3889, 0.8830, 0.5163)  2 Ni 2.00-2.01
O (0.8828, 0.3903, 0.0298)  1 Ni 1.97, 1 Ag 2.10
O (0.8861, 0.3870, 0.5173)  2 Ni 2.01-2.02
O (0.8850, 0.8924, 0.0330)  2 Ag 2.08
O (0.8853, 0.8859, 0.5161)  2 Ni 2.02-2.03
O (0.1285, 0.1374, 0.1579)  1 Ni 1.92
O (0.0846, 0.1066, 0.6387)  1 Ni 1.96
O (0.1346, 0.6347, 0.1569)  1 Ni 1.90
O (0.0830, 0.6110, 0.6386)  1 Ni 1.95
O (0.6262, 0.1405, 0.1579)  1 Ni 1.91
O (0.5848, 0.1080, 0.6374)  1 Ni 1.96
O (0.5967, 0.6128, 0.1385)  2 Ni 1.98-2.21
O (0.5779, 0.6090, 0.6354)  2 Ni 1.98-2.18
O (0.4428, 0.3899, 0.3604)  1 Ni 1.96
O (0.4496, 0.3895, 0.8608)  1 Ni 1.96
O (0.4460, 0.8900, 0.3618)  2 Ni 1.95-2.18
O (0.4707, 0.8634, 0.8466)  1 Ni 1.94
O (0.9449, 0.3916, 0.3616)  1 Ni 1.95
O (0.9639, 0.3657, 0.8446)  1 Ni 1.91
O (0.9534, 0.8954, 0.3624)  2 Ni 1.98-2.17
O (0.9759, 0.8708, 0.8440)  1 Ni 1.92
O (0.3592, 0.2756, 0.1398)  1 Ni 1.97
O (0.3368, 0.2802, 0.6370)  1 Ni 1.94
O (0.3484, 0.7763, 0.1402)  1 Ni 1.95
O (0.3400, 0.7806, 0.6346)  2 Ni 1.96-2.16
O (0.8510, 0.2773, 0.1380)  1 Ni 1.96
O (0.8268, 0.2812, 0.6347)  2 Ni 1.96-2.16
O (0.8797, 0.7612, 0.1551)  1 Ni 1.94
O (0.8258, 0.7775, 0.6330)  2 Ni 1.95-2.15
O (0.1930, 0.2209, 0.3649)  2 Ni 1.96-2.15
O (0.1999, 0.2247, 0.8627)  1 Ni 1.96
O (0.2000, 0.7229, 0.3645)  2 Ni 1.96-2.16
O (0.2150, 0.7227, 0.8628)  1 Ni 1.98
O (0.6931, 0.2189, 0.3639)  2 Ni 1.96-2.15
O (0.6954, 0.2256, 0.8616)  1 Ni 1.97
O (0.6978, 0.7207, 0.3616)  1 Ni 1.94
O (0.7276, 0.7337, 0.8444)  1 Ni 1.93
O (0.4223, 0.0627, 0.2456)  2 Ni 2.03-2.06
O (0.4241, 0.0662, 0.7495)  2 Ni 2.02-2.04
O (0.4248, 0.5712, 0.2527)  2 Ni 2.04
O (0.4265, 0.5693, 0.7538)  2 Ni 2.01-2.07
O (0.9207, 0.0659, 0.2445)  2 Ni 2.04-2.05
O (0.9244, 0.0613, 0.7479)  2 Ni 2.02-2.05
O (0.9240, 0.5629, 0.2477)  2 Ni 2.02-2.08
O (0.9281, 0.5683, 0.7534)  2 Ni 2.03-2.04
O (0.1727, 0.4330, 0.2471)  2 Ni 2.03-2.06
O (0.1778, 0.4359, 0.7489)  2 Ni 2.03
O (0.1737, 0.9324, 0.2528)  2 Ni 2.02-2.05
O (0.1809, 0.9333, 0.7543)  2 Ni 2.04-2.05
O (0.6727, 0.4348, 0.2459)  2 Ni 2.01-2.06
O (0.6714, 0.4348, 0.7535)  2 Ni 2.05-2.07
O (0.6717, 0.9277, 0.2461)  2 Ni 2.04-2.08
O (0.6710, 0.9312, 0.7471)  2 Ni 2.02-2.06